(1)
# LiCrPO4 (PBE with a Hubbard U, optimized geometry)
# SG: Cc
data_LiCrPO4
_chemical_formula_sum 'Li16 Cr16 P16 O64'
_space_group_name_H-M_alt 'P 1'
_space_group_IT_number 1
_space_group_name_Hall 'P 1'
_cell_length_a 10.175
_cell_length_b 10.175
_cell_length_c 16.853
_cell_angle_alpha 98.56
_cell_angle_beta 98.56
_cell_angle_gamma 59.52
loop_
_atom_site_label
_atom_site_fract_x
_atom_site_fract_y
_atom_site_fract_z
_atom_site_occupancy
Li1 0.002 0.677 0.750 1
Li2 0.056 0.944 0.500 1
Li3 0.057 0.182 0.748 1
Li4 0.116 0.444 0.501 1
Li5 0.181 0.559 0.248 1
Li6 0.182 0.057 0.248 1
Li7 0.444 0.116 0.001 1
Li8 0.444 0.614 0.999 1
Li9 0.505 0.675 0.748 1
Li10 0.559 0.181 0.748 1
Li11 0.559 0.942 0.500 1
Li12 0.614 0.444 0.499 1
Li13 0.675 0.505 0.248 1
Li14 0.677 0.002 0.250 1
Li15 0.942 0.559 0.000 1
Li16 0.944 0.056 0.000 1
Cr1 0.248 0.873 0.874 1
Cr2 0.255 0.373 0.875 1
Cr3 0.318 0.991 0.627 1
Cr4 0.369 0.492 0.625 1
Cr5 0.373 0.255 0.375 1
Cr6 0.418 0.761 0.378 1
Cr7 0.491 0.868 0.124 1
Cr8 0.492 0.369 0.125 1
Cr9 0.755 0.918 0.879 1
Cr10 0.761 0.418 0.878 1
Cr11 0.821 0.986 0.626 1
Cr12 0.868 0.491 0.624 1
Cr13 0.873 0.248 0.374 1
Cr14 0.918 0.755 0.379 1
Cr15 0.986 0.821 0.126 1
Cr16 0.991 0.318 0.127 1
P1 0.090 0.221 0.935 1
P2 0.090 0.718 0.936 1
P3 0.157 0.841 0.688 1
P4 0.217 0.341 0.687 1
P5 0.221 0.090 0.435 1
P6 0.272 0.590 0.434 1
P7 0.337 0.717 0.186 1
P8 0.341 0.217 0.187 1
P9 0.587 0.772 0.934 1
P10 0.590 0.272 0.934 1
P11 0.658 0.838 0.687 1
P12 0.717 0.337 0.686 1
P13 0.718 0.090 0.436 1
P14 0.772 0.587 0.434 1
P15 0.838 0.658 0.187 1
P16 0.841 0.157 0.188 1
O1 0.004 0.337 0.006 1
O2 0.009 0.834 0.008 1
O3 0.016 0.818 0.684 1
O4 0.065 0.105 0.446 1
O5 0.104 0.416 0.613 1
O6 0.105 0.065 0.946 1
O7 0.107 0.561 0.947 1
O8 0.129 0.751 0.429 1
O9 0.155 0.906 0.610 1
O10 0.158 0.455 0.763 1
O11 0.158 0.955 0.761 1
O12 0.183 0.728 0.199 1
O13 0.188 0.226 0.200 1
O14 0.204 0.250 0.432 1
O15 0.226 0.188 0.700 1
O16 0.248 0.702 0.930 1
O17 0.250 0.204 0.932 1
O18 0.268 0.487 0.356 1
O19 0.272 0.511 0.507 1
O20 0.286 0.991 0.356 1
O21 0.306 0.379 0.173 1
O22 0.306 0.684 0.700 1
O23 0.306 0.879 0.174 1
O24 0.337 0.004 0.506 1
O25 0.379 0.306 0.673 1
O26 0.412 0.606 0.112 1
O27 0.416 0.104 0.113 1
O28 0.420 0.603 0.444 1
O29 0.449 0.653 0.262 1
O30 0.455 0.158 0.263 1
O31 0.481 0.766 0.858 1
O32 0.487 0.268 0.856 1
O33 0.511 0.272 0.007 1
O34 0.514 0.767 0.008 1
O35 0.516 0.818 0.681 1
O36 0.561 0.107 0.447 1
O37 0.594 0.923 0.943 1
O38 0.603 0.420 0.944 1
O39 0.606 0.412 0.612 1
O40 0.634 0.750 0.427 1
O41 0.653 0.449 0.762 1
O42 0.658 0.951 0.760 1
O43 0.660 0.901 0.609 1
O44 0.680 0.806 0.200 1
O45 0.684 0.306 0.200 1
O46 0.702 0.248 0.430 1
O47 0.728 0.183 0.699 1
O48 0.750 0.634 0.927 1
O49 0.751 0.129 0.929 1
O50 0.766 0.481 0.358 1
O51 0.767 0.514 0.508 1
O52 0.785 0.984 0.358 1
O53 0.806 0.680 0.700 1
O54 0.818 0.016 0.184 1
O55 0.818 0.516 0.181 1
O56 0.834 0.009 0.508 1
O57 0.879 0.306 0.674 1
O58 0.901 0.660 0.109 1
O59 0.906 0.155 0.110 1
O60 0.923 0.594 0.443 1
O61 0.951 0.658 0.260 1
O62 0.955 0.158 0.261 1
O63 0.984 0.785 0.858 1
O64 0.991 0.286 0.856 1

=====

(2)
# LiCrPO5 (PBE with a Hubbard U, optimized geometry)
# SG: C2/c
data_LiCrPO5
_chemical_formula_sum 'Li4 Cr4 P4 O20'
_space_group_name_H-M_alt 'P 1'
_space_group_IT_number 1
_space_group_name_Hall 'P 1'
_cell_length_a 7.134
_cell_length_b 7.134
_cell_length_c 10.520
_cell_angle_alpha 110.27
_cell_angle_beta 110.27
_cell_angle_gamma 43.17
loop_
_atom_site_label
_atom_site_fract_x
_atom_site_fract_y
_atom_site_fract_z
_atom_site_occupancy
Li1 0.000 0.500 0.000 1
Li2 0.004 0.996 0.750 1
Li3 0.500 0.000 0.500 1
Li4 0.996 0.004 0.250 1
Cr1 0.000 0.000 0.000 1
Cr2 0.000 0.000 0.500 1
Cr3 0.000 0.500 0.500 1
Cr4 0.500 0.000 0.000 1
P1 0.375 0.376 0.314 1
P2 0.376 0.375 0.814 1
P3 0.624 0.625 0.186 1
P4 0.625 0.624 0.686 1
O1 0.078 0.176 0.467 1
O2 0.176 0.078 0.967 1
O3 0.185 0.692 0.852 1
O4 0.215 0.686 0.352 1
O5 0.287 0.304 0.390 1
O6 0.304 0.287 0.890 1
O7 0.308 0.815 0.648 1
O8 0.314 0.320 0.657 1
O9 0.314 0.785 0.148 1
O10 0.320 0.314 0.157 1
O11 0.680 0.686 0.843 1
O12 0.686 0.215 0.852 1
O13 0.686 0.680 0.343 1
O14 0.692 0.185 0.352 1
O15 0.696 0.713 0.110 1
O16 0.713 0.696 0.610 1
O17 0.785 0.314 0.648 1
O18 0.815 0.308 0.148 1
O19 0.824 0.922 0.033 1
O20 0.922 0.824 0.533 1

=====

(3)
# LiCrPO4 (PBE with a Hubbard U, optimized geometry)
# SG: P6_3
data_LiCrPO4
_chemical_formula_sum 'Li6 Cr6 P6 O24'
_space_group_name_H-M_alt 'P 1'
_space_group_IT_number 1
_space_group_name_Hall 'P 1'
_cell_length_a 9.416
_cell_length_b 9.416
_cell_length_c 6.583
_cell_angle_alpha 90.00
_cell_angle_beta 90.00
_cell_angle_gamma 120.00
loop_
_atom_site_label
_atom_site_fract_x
_atom_site_fract_y
_atom_site_fract_z
_atom_site_occupancy
Li1 0.000 0.000 0.000 1
Li2 0.000 0.000 0.500 1
Li3 0.333 0.667 0.105 1
Li4 0.333 0.667 0.647 1
Li5 0.667 0.333 0.147 1
Li6 0.667 0.333 0.605 1
Cr1 0.108 0.718 0.377 1
Cr2 0.282 0.390 0.377 1
Cr3 0.390 0.108 0.877 1
Cr4 0.610 0.892 0.377 1
Cr5 0.718 0.610 0.877 1
Cr6 0.892 0.282 0.877 1
P1 0.053 0.691 0.878 1
P2 0.309 0.363 0.878 1
P3 0.363 0.053 0.378 1
P4 0.637 0.947 0.878 1
P5 0.691 0.637 0.378 1
P6 0.947 0.309 0.378 1
O1 0.037 0.208 0.379 1
O2 0.084 0.492 0.377 1
O3 0.165 0.732 0.688 1
O4 0.166 0.733 0.066 1
O5 0.171 0.963 0.379 1
O6 0.208 0.171 0.879 1
O7 0.267 0.433 0.066 1
O8 0.268 0.432 0.688 1
O9 0.408 0.916 0.377 1
O10 0.432 0.165 0.188 1
O11 0.433 0.166 0.566 1
O12 0.492 0.408 0.877 1
O13 0.508 0.592 0.377 1
O14 0.567 0.834 0.066 1
O15 0.568 0.835 0.688 1
O16 0.592 0.084 0.877 1
O17 0.732 0.568 0.188 1
O18 0.733 0.567 0.566 1
O19 0.792 0.829 0.379 1
O20 0.829 0.037 0.879 1
O21 0.834 0.267 0.566 1
O22 0.835 0.268 0.188 1
O23 0.916 0.508 0.877 1
O24 0.963 0.792 0.879 1

=====

no.,energy of formation (meV/atom)
1,-2501.3
2,-2431.0
3,-2525.5